VASP calculation (PBE+U) on a relaxed structure of Pr7Mn8O24.

POSCAR file:
```
Pr7Mn8O24
1.0
7.810 5.527 0.000
-7.810 5.527 0.000
0.000 5.497 5.520
O Pr Mn
24 7 8
Direct
0.248 0.455 0.273
0.156 0.655 0.012
0.481 0.772 0.217
0.553 0.258 0.718
0.589 0.090 0.507
0.090 0.589 0.507
0.041 0.750 0.729
0.433 0.433 0.462
0.241 0.010 0.753
0.942 0.713 0.297
0.455 0.248 0.273
0.655 0.156 0.012
0.370 0.370 0.970
0.010 0.241 0.753
0.750 0.041 0.729
0.278 0.978 0.233
0.258 0.553 0.718
0.978 0.278 0.233
0.735 0.516 0.775
0.713 0.942 0.297
0.516 0.735 0.775
0.843 0.843 0.989
0.772 0.481 0.217
0.897 0.897 0.531
0.113 0.113 0.538
0.386 0.890 0.475
0.890 0.386 0.475
0.611 0.611 0.014
0.617 0.617 0.525
0.899 0.393 0.968
0.393 0.899 0.968
0.251 0.496 0.998
0.499 0.253 0.499
0.253 0.499 0.499
0.496 0.251 0.998
0.752 0.001 0.003
0.003 0.757 0.491
0.757 0.003 0.491
0.001 0.752 0.003
```

Output
- Space-group type: Cm
- Formation energy from the elements: -2.8021 eV per atom